[1]
SnAs3 PBE optimized geometry; crystal system = cubic; energy of formation from the pure elements = 0.35 eV per atom
1.0
0.0000 3.4774 3.4774
3.4774 0.0000 3.4774
3.4774 3.4774 0.0000
Sn As
1 3
Direct
0.0000 0.0000 0.0000 Sn
0.2500 0.2500 0.2500 As
0.7500 0.7500 0.7500 As
0.5000 0.5000 0.5000 As

***

[2]
PrCd20Ni2 PBE optimized geometry; crystal system = cubic; energy of formation from the pure elements = -0.10 eV per atom
1.0
0.0000 7.9058 7.9058
7.9058 0.0000 7.9058
7.9058 7.9058 0.0000
Pr Cd Ni
2 40 4
Direct
0.5000 0.5000 0.5000 Pr
0.7500 0.7500 0.7500 Pr
0.5691 0.3002 0.3002 Cd
0.3002 0.5691 0.8306 Cd
0.3002 0.8306 0.5691 Cd
0.8306 0.3002 0.3002 Cd
0.3002 0.3002 0.5691 Cd
0.5691 0.8306 0.3002 Cd
0.8306 0.5691 0.3002 Cd
0.3002 0.3002 0.8306 Cd
0.3002 0.5691 0.3002 Cd
0.8306 0.3002 0.5691 Cd
0.5691 0.3002 0.8306 Cd
0.3002 0.8306 0.3002 Cd
0.6809 0.9498 0.9498 Cd
0.9498 0.6809 0.4194 Cd
0.9498 0.4194 0.6809 Cd
0.4194 0.9498 0.9498 Cd
0.9498 0.9498 0.6809 Cd
0.6809 0.4194 0.9498 Cd
0.4194 0.6809 0.9498 Cd
0.9498 0.9498 0.4194 Cd
0.9498 0.6809 0.9498 Cd
0.4194 0.9498 0.6809 Cd
0.6809 0.9498 0.4194 Cd
0.9498 0.4194 0.9498 Cd
0.8634 0.8634 0.1366 Cd
0.1366 0.1366 0.8634 Cd
0.8634 0.1366 0.8634 Cd
0.1366 0.8634 0.1366 Cd
0.1366 0.8634 0.8634 Cd
0.8634 0.1366 0.1366 Cd
0.3866 0.3866 0.1134 Cd
0.1134 0.1134 0.3866 Cd
0.3866 0.1134 0.3866 Cd
0.1134 0.3866 0.1134 Cd
0.1134 0.3866 0.3866 Cd
0.3866 0.1134 0.1134 Cd
0.1250 0.6250 0.6250 Cd
0.6250 0.1250 0.6250 Cd
0.6250 0.6250 0.1250 Cd
0.6250 0.6250 0.6250 Cd
0.6250 0.1250 0.1250 Ni
0.1250 0.6250 0.1250 Ni
0.1250 0.1250 0.6250 Ni
0.1250 0.1250 0.1250 Ni